First-principles (PBE with a Hubbard U) data for an optimized crystal structure of Sm2Hf2Mo7O28, as listed in the Materials Project.

* E: -605.93 eV for the cell shown
* volume: 1379 Å³ per cell
* space-group type: C2/c
* ΔH_f (0 K): -2.5847 eV per atom
* total magnetic moment: 0.000 μB/atom

abc: 11.729 11.729 14.106
angles: 110.69 110.69 50.51
Fractional coordinates of all 78 atoms:
Sm 0.125 0.150 0.438
Sm 0.150 0.125 0.938
Sm 0.850 0.875 0.062
Sm 0.875 0.850 0.562
Hf 0.348 0.420 0.312
Hf 0.420 0.348 0.812
Hf 0.580 0.652 0.188
Hf 0.652 0.580 0.688
Mo 0.013 0.501 0.675
Mo 0.068 0.811 0.353
Mo 0.189 0.932 0.147
Mo 0.230 0.455 0.023
Mo 0.299 0.701 0.750
Mo 0.455 0.230 0.523
Mo 0.499 0.987 0.825
Mo 0.501 0.013 0.175
Mo 0.545 0.770 0.477
Mo 0.701 0.299 0.250
Mo 0.770 0.545 0.977
Mo 0.811 0.068 0.853
Mo 0.932 0.189 0.647
Mo 0.987 0.499 0.325
O 0.001 0.204 0.781
O 0.027 0.934 0.102
O 0.039 0.391 0.551
O 0.052 0.171 0.585
O 0.060 0.318 0.333
O 0.066 0.973 0.398
O 0.074 0.640 0.004
O 0.127 0.487 0.283
O 0.135 0.739 0.659
O 0.171 0.052 0.085
O 0.171 0.336 0.972
O 0.195 0.423 0.760
O 0.204 0.001 0.281
O 0.261 0.865 0.841
O 0.264 0.640 0.374
O 0.304 0.447 0.160
O 0.318 0.060 0.833
O 0.336 0.171 0.472
O 0.360 0.736 0.126
O 0.360 0.926 0.496
O 0.362 0.558 0.818
O 0.375 0.390 0.956
O 0.390 0.375 0.456
O 0.391 0.039 0.051
O 0.423 0.195 0.260
O 0.442 0.638 0.682
O 0.447 0.304 0.660
O 0.487 0.127 0.783
O 0.513 0.873 0.217
O 0.553 0.696 0.340
O 0.558 0.362 0.318
O 0.577 0.805 0.740
O 0.609 0.961 0.949
O 0.610 0.625 0.544
O 0.625 0.610 0.044
O 0.638 0.442 0.182
O 0.640 0.074 0.504
O 0.640 0.264 0.874
O 0.664 0.829 0.528
O 0.682 0.940 0.167
O 0.696 0.553 0.840
O 0.736 0.360 0.626
O 0.739 0.135 0.159
O 0.796 0.999 0.719
O 0.805 0.577 0.240
O 0.829 0.664 0.028
O 0.829 0.948 0.915
O 0.865 0.261 0.341
O 0.873 0.513 0.717
O 0.926 0.360 0.996
O 0.934 0.027 0.602
O 0.940 0.682 0.667
O 0.948 0.829 0.415
O 0.961 0.609 0.449
O 0.973 0.066 0.898
O 0.999 0.796 0.219

=====

First-principles (PBE with a Hubbard U) data for an optimized crystal structure of Tb2Hf2Mo7O28, as listed in the Materials Project.

* E: -605.86 eV for the cell shown
* volume: 1352 Å³ per cell
* space-group type: C2/c
* ΔH_f (0 K): -2.5881 eV per atom
* total magnetic moment: 0.000 μB/atom

abc: 11.654 11.654 14.017
angles: 110.89 110.89 50.60
Fractional coordinates of all 78 atoms:
Tb 0.124 0.149 0.437
Tb 0.149 0.124 0.937
Tb 0.851 0.876 0.063
Tb 0.876 0.851 0.563
Hf 0.349 0.420 0.313
Hf 0.420 0.349 0.813
Hf 0.580 0.651 0.187
Hf 0.651 0.580 0.687
Mo 0.012 0.501 0.673
Mo 0.067 0.812 0.353
Mo 0.188 0.933 0.147
Mo 0.228 0.456 0.023
Mo 0.297 0.703 0.750
Mo 0.456 0.228 0.523
Mo 0.499 0.988 0.827
Mo 0.501 0.012 0.173
Mo 0.544 0.772 0.477
Mo 0.703 0.297 0.250
Mo 0.772 0.544 0.977
Mo 0.812 0.067 0.853
Mo 0.933 0.188 0.647
Mo 0.988 0.499 0.327
O 0.003 0.203 0.783
O 0.025 0.935 0.102
O 0.039 0.389 0.548
O 0.053 0.170 0.583
O 0.060 0.316 0.334
O 0.065 0.975 0.398
O 0.071 0.642 0.004
O 0.126 0.487 0.282
O 0.132 0.740 0.657
O 0.170 0.053 0.083
O 0.171 0.334 0.971
O 0.194 0.424 0.761
O 0.203 0.003 0.283
O 0.260 0.868 0.843
O 0.264 0.643 0.375
O 0.303 0.449 0.161
O 0.316 0.060 0.834
O 0.334 0.171 0.471
O 0.357 0.736 0.125
O 0.358 0.929 0.496
O 0.361 0.560 0.820
O 0.375 0.390 0.957
O 0.389 0.039 0.048
O 0.390 0.375 0.457
O 0.424 0.194 0.261
O 0.440 0.639 0.680
O 0.449 0.303 0.661
O 0.487 0.126 0.782
O 0.513 0.874 0.218
O 0.551 0.697 0.339
O 0.560 0.361 0.320
O 0.576 0.806 0.739
O 0.610 0.625 0.543
O 0.611 0.961 0.952
O 0.625 0.610 0.043
O 0.639 0.440 0.180
O 0.642 0.071 0.504
O 0.643 0.264 0.875
O 0.666 0.829 0.529
O 0.684 0.940 0.166
O 0.697 0.551 0.839
O 0.736 0.357 0.625
O 0.740 0.132 0.157
O 0.797 0.997 0.717
O 0.806 0.576 0.239
O 0.829 0.666 0.029
O 0.830 0.947 0.917
O 0.868 0.260 0.343
O 0.874 0.513 0.718
O 0.929 0.358 0.996
O 0.935 0.025 0.602
O 0.940 0.684 0.666
O 0.947 0.830 0.417
O 0.961 0.611 0.452
O 0.975 0.065 0.898
O 0.997 0.797 0.217

=====

First-principles (PBE with a Hubbard U) data for an optimized crystal structure of Y2Hf2Mo7O28, as listed in the Materials Project.

* E: -612.70 eV for the cell shown
* volume: 1349 Å³ per cell
* space-group type: C2/c
* ΔH_f (0 K): -2.5818 eV per atom
* total magnetic moment: 0.000 μB/atom

abc: 11.647 11.647 14.004
angles: 110.93 110.93 50.60
Fractional coordinates of all 78 atoms:
Y 0.124 0.149 0.437
Y 0.149 0.124 0.937
Y 0.851 0.876 0.063
Y 0.876 0.851 0.563
Hf 0.349 0.420 0.313
Hf 0.420 0.349 0.813
Hf 0.580 0.651 0.187
Hf 0.651 0.580 0.687
Mo 0.012 0.501 0.673
Mo 0.066 0.812 0.353
Mo 0.188 0.934 0.147
Mo 0.227 0.456 0.023
Mo 0.296 0.704 0.750
Mo 0.456 0.227 0.523
Mo 0.499 0.988 0.827
Mo 0.501 0.012 0.173
Mo 0.544 0.773 0.477
Mo 0.704 0.296 0.250
Mo 0.773 0.544 0.977
Mo 0.812 0.066 0.853
Mo 0.934 0.188 0.647
Mo 0.988 0.499 0.327
O 0.004 0.203 0.783
O 0.025 0.935 0.102
O 0.040 0.388 0.548
O 0.053 0.171 0.583
O 0.060 0.316 0.334
O 0.065 0.975 0.398
O 0.071 0.643 0.004
O 0.126 0.487 0.282
O 0.132 0.740 0.657
O 0.170 0.334 0.971
O 0.171 0.053 0.083
O 0.195 0.424 0.761
O 0.203 0.004 0.283
O 0.260 0.868 0.843
O 0.264 0.643 0.375
O 0.303 0.449 0.161
O 0.316 0.060 0.834
O 0.334 0.170 0.471
O 0.357 0.736 0.125
O 0.357 0.929 0.496
O 0.361 0.560 0.820
O 0.376 0.390 0.957
O 0.388 0.040 0.048
O 0.390 0.376 0.457
O 0.424 0.195 0.261
O 0.440 0.639 0.680
O 0.449 0.303 0.661
O 0.487 0.126 0.782
O 0.513 0.874 0.218
O 0.551 0.697 0.339
O 0.560 0.361 0.320
O 0.576 0.805 0.739
O 0.610 0.624 0.543
O 0.612 0.960 0.952
O 0.624 0.610 0.043
O 0.639 0.440 0.180
O 0.643 0.071 0.504
O 0.643 0.264 0.875
O 0.666 0.830 0.529
O 0.684 0.940 0.166
O 0.697 0.551 0.839
O 0.736 0.357 0.625
O 0.740 0.132 0.157
O 0.797 0.996 0.717
O 0.805 0.576 0.239
O 0.829 0.947 0.917
O 0.830 0.666 0.029
O 0.868 0.260 0.343
O 0.874 0.513 0.718
O 0.929 0.357 0.996
O 0.935 0.025 0.602
O 0.940 0.684 0.666
O 0.947 0.829 0.417
O 0.960 0.612 0.452
O 0.975 0.065 0.898
O 0.996 0.797 0.217

=====

First-principles (PBE with a Hubbard U) data for an optimized crystal structure of HfNiO3, as listed in the Materials Project.

* E: -159.96 eV for the cell shown
* volume: 216 Å³ per cell
* space-group type: P2_1/c
* ΔH_f (0 K): -2.8023 eV per atom
* total magnetic moment: 0.400 μB/atom

abc: 4.978 5.338 9.467
angles: 90.00 120.73 90.00
Fractional coordinates of all 20 atoms:
Hf 0.207 0.076 0.248
Hf 0.207 0.424 0.748
Hf 0.793 0.576 0.252
Hf 0.793 0.924 0.752
Ni 0.000 0.000 0.500
Ni 0.000 0.500 0.000
Ni 0.500 0.000 0.000
Ni 0.500 0.500 0.500
O 0.101 0.193 0.912
O 0.101 0.307 0.412
O 0.218 0.690 0.911
O 0.218 0.810 0.411
O 0.424 0.080 0.756
O 0.424 0.420 0.256
O 0.576 0.580 0.744
O 0.576 0.920 0.244
O 0.782 0.190 0.589
O 0.782 0.310 0.089
O 0.899 0.693 0.588
O 0.899 0.807 0.088

=====

First-principles (PBE with a Hubbard U) data for an optimized crystal structure of Sr2HfVO6, as listed in the Materials Project.

* E: -79.36 eV for the cell shown
* volume: 130 Å³ per cell
* space-group type: Fm-3m
* ΔH_f (0 K): -3.3077 eV per atom
* total magnetic moment: 0.100 μB/atom

abc: 5.683 5.683 5.683
angles: 60.00 60.00 60.00
Fractional coordinates of all 10 atoms:
Sr 0.250 0.250 0.250
Sr 0.750 0.750 0.750
Hf 0.000 0.000 0.000
V 0.500 0.500 0.500
O 0.257 0.257 0.743
O 0.257 0.743 0.257
O 0.257 0.743 0.743
O 0.743 0.257 0.257
O 0.743 0.257 0.743
O 0.743 0.743 0.257

=====

First-principles (PBE with a Hubbard U) data for an optimized crystal structure of Sr2HfWO6, as listed in the Materials Project.

* E: -78.60 eV for the cell shown
* volume: 140 Å³ per cell
* space-group type: Fm-3m
* ΔH_f (0 K): -3.1183 eV per atom
* total magnetic moment: 0.200 μB/atom

abc: 5.823 5.823 5.823
angles: 60.00 60.00 60.00
Fractional coordinates of all 10 atoms:
Sr 0.250 0.250 0.250
Sr 0.750 0.750 0.750
Hf 0.000 0.000 0.000
W 0.500 0.500 0.500
O 0.251 0.251 0.749
O 0.251 0.749 0.251
O 0.251 0.749 0.749
O 0.749 0.251 0.251
O 0.749 0.251 0.749
O 0.749 0.749 0.251

=====

First-principles (PBE with a Hubbard U) data for an optimized crystal structure of MgHg2Mo2O8, as listed in the Materials Project.

* E: -73.19 eV for the cell shown
* volume: 185 Å³ per cell
* space-group type: P1
* ΔH_f (0 K): -1.6623 eV per atom
* total magnetic moment: 0.154 μB/atom

abc: 5.517 6.259 6.589
angles: 63.98 84.70 65.66
Fractional coordinates of all 13 atoms:
Mg 0.000 0.000 0.000
Hg 0.457 0.057 0.238
Hg 0.847 0.300 0.411
Mo 0.151 0.550 0.582
Mo 0.590 0.602 0.842
O 0.369 0.767 0.535
O 0.376 0.303 0.502
O 0.383 0.808 0.967
O 0.408 0.364 0.898
O 0.858 0.290 0.103
O 0.865 0.743 0.726
O 0.905 0.328 0.703
O 0.926 0.762 0.286

=====

First-principles (PBE with a Hubbard U) data for an optimized crystal structure of MgHg2W2O8, as listed in the Materials Project.

* E: -76.01 eV for the cell shown
* volume: 184 Å³ per cell
* space-group type: C2
* ΔH_f (0 K): -1.7439 eV per atom
* total magnetic moment: 0.154 μB/atom

abc: 6.706 6.706 5.450
angles: 111.38 111.38 55.63
Fractional coordinates of all 13 atoms:
Mg 0.000 0.000 0.000
Hg 0.556 0.036 0.302
Hg 0.964 0.444 0.698
W 0.245 0.755 0.500
W 0.531 0.469 0.000
O 0.149 0.055 0.769
O 0.170 0.637 0.745
O 0.363 0.830 0.255
O 0.396 0.416 0.236
O 0.584 0.604 0.764
O 0.626 0.150 0.780
O 0.850 0.374 0.220
O 0.945 0.851 0.231

=====

First-principles (PBE with a Hubbard U) data for an optimized crystal structure of Mn2HgO4, as listed in the Materials Project.

* E: -87.24 eV for the cell shown
* volume: 181 Å³ per cell
* space-group type: Fddd
* ΔH_f (0 K): -1.6122 eV per atom

abc: 6.606 6.592 5.969
angles: 63.23 63.00 53.77
Fractional coordinates of all 14 atoms:
Mn 0.000 0.000 0.000
Mn 0.000 0.000 0.500
Mn 0.000 0.500 0.000
Mn 0.500 0.000 0.000
Hg 0.375 0.375 0.375
Hg 0.625 0.625 0.625
O 0.194 0.767 0.770
O 0.230 0.230 0.233
O 0.230 0.230 0.806
O 0.233 0.806 0.230
O 0.767 0.194 0.770
O 0.770 0.770 0.194
O 0.770 0.770 0.767
O 0.806 0.233 0.230

=====

First-principles (PBE with a Hubbard U) data for an optimized crystal structure of Mn2Hg2O7, as listed in the Materials Project.

* E: -116.53 eV for the cell shown
* volume: 261 Å³ per cell
* space-group type: Fd-3m
* ΔH_f (0 K): -1.1675 eV per atom
* total magnetic moment: 0.364 μB/atom

abc: 7.177 7.177 7.177
angles: 60.00 60.00 60.00
Fractional coordinates of all 22 atoms:
Mn 0.000 0.000 0.000
Mn 0.000 0.000 0.500
Mn 0.000 0.500 0.000
Mn 0.500 0.000 0.000
Hg 0.000 0.500 0.500
Hg 0.500 0.000 0.500
Hg 0.500 0.500 0.000
Hg 0.500 0.500 0.500
O 0.071 0.071 0.679
O 0.071 0.679 0.071
O 0.071 0.679 0.679
O 0.321 0.321 0.929
O 0.321 0.929 0.321
O 0.321 0.929 0.929
O 0.375 0.375 0.375
O 0.625 0.625 0.625
O 0.679 0.071 0.071
O 0.679 0.071 0.679
O 0.679 0.679 0.071
O 0.929 0.321 0.321
O 0.929 0.321 0.929
O 0.929 0.929 0.321

=====

First-principles (PBE with a Hubbard U) data for an optimized crystal structure of HgMoO4, as listed in the Materials Project.

* E: -68.48 eV for the cell shown
* volume: 177 Å³ per cell
* space-group type: C2/c
* ΔH_f (0 K): -1.5411 eV per atom

abc: 6.532 6.532 5.279
angles: 109.09 109.09 58.02
Fractional coordinates of all 12 atoms:
Hg 0.000 0.500 0.000
Hg 0.500 0.000 0.500
Mo 0.184 0.816 0.750
Mo 0.816 0.184 0.250
O 0.008 0.188 0.031
O 0.188 0.008 0.531
O 0.242 0.531 0.532
O 0.469 0.758 0.968
O 0.531 0.242 0.032
O 0.758 0.469 0.468
O 0.812 0.992 0.469
O 0.992 0.812 0.969